Record 1
Compound: Sm2EuSe4
Source: the Materials Project
Functional: PBE
Structure: relaxed

- Calculated volume: 178.15 Å³/f.u.
- Energy relative to the elements: -2.199 eV/atom

a b c (Å): 8.947 8.947 8.902
angles (deg): 90.00 90.00 90.00
Space group I-42d (No. 122)
One atom of each set of equivalent atoms:
Sm 0.126 0.750 0.125 (multiplicity 8)
Eu 0.000 0.000 0.500 (multiplicity 4)
Se 0.076 0.673 0.445 (multiplicity 16)

Record 2
Compound: NaZrTiP3O12
Source: the Materials Project
Functional: PBE
Structure: relaxed

- Calculated volume: 252.25 Å³/f.u.
- Energy relative to the elements: -3.085 eV/atom
- M_tot: 0.0 μB per formula unit

a b c (Å): 8.7610 8.7610 22.7696
angles (deg): 90.00 90.00 120.00
Space group P3 (No. 143)
One atom of each set of equivalent atoms:
Na 0.0000 0.0000 0.0000 (multiplicity 1)
Na 0.0000 0.0000 0.4942 (multiplicity 1)
Na 0.3333 0.6667 0.1604 (multiplicity 1)
Na 0.3333 0.6667 0.6612 (multiplicity 1)
Na 0.6667 0.3333 0.3272 (multiplicity 1)
Na 0.6667 0.3333 0.8324 (multiplicity 1)
Zr 0.0000 0.0000 0.6421 (multiplicity 1)
Zr 0.0000 0.0000 0.8538 (multiplicity 1)
Zr 0.3333 0.6667 0.3064 (multiplicity 1)
Zr 0.3333 0.6667 0.8121 (multiplicity 1)
Zr 0.6667 0.3333 0.4746 (multiplicity 1)
Zr 0.6667 0.3333 0.6819 (multiplicity 1)
Ti 0.0000 0.0000 0.1430 (multiplicity 1)
Ti 0.0000 0.0000 0.3492 (multiplicity 1)
Ti 0.3333 0.6667 0.0179 (multiplicity 1)
Ti 0.3333 0.6667 0.5146 (multiplicity 1)
Ti 0.6667 0.3333 0.1818 (multiplicity 1)
Ti 0.6667 0.3333 0.9798 (multiplicity 1)
P 0.0400 0.6582 0.9184 (multiplicity 3)
P 0.0498 0.3734 0.4132 (multiplicity 3)
P 0.2859 0.2764 0.2448 (multiplicity 3)
P 0.2924 0.0005 0.7474 (multiplicity 3)
P 0.3739 0.3427 0.5782 (multiplicity 3)
P 0.3800 0.0464 0.0807 (multiplicity 3)
O 0.0195 0.8300 0.1902 (multiplicity 3)
O 0.0243 0.2060 0.6922 (multiplicity 3)
O 0.0240 0.8254 0.9127 (multiplicity 3)
O 0.0320 0.1902 0.4051 (multiplicity 3)
O 0.1193 0.6322 0.8617 (multiplicity 3)
O 0.1296 0.4859 0.3581 (multiplicity 3)
O 0.1382 0.4988 0.0728 (multiplicity 3)
O 0.1508 0.6431 0.5697 (multiplicity 3)
O 0.1565 0.6950 0.2498 (multiplicity 3)
O 0.1621 0.6861 0.9711 (multiplicity 3)
O 0.1641 0.4672 0.4677 (multiplicity 3)
O 0.1640 0.4745 0.7525 (multiplicity 3)
O 0.1911 0.1772 0.5840 (multiplicity 3)
O 0.1953 0.0268 0.0885 (multiplicity 3)
O 0.1974 0.1672 0.3010 (multiplicity 3)
O 0.2046 0.0238 0.8026 (multiplicity 3)
O 0.4604 0.3099 0.5247 (multiplicity 3)
O 0.4683 0.1636 0.0262 (multiplicity 3)
O 0.4710 0.2980 0.2377 (multiplicity 3)
O 0.4752 0.1654 0.7423 (multiplicity 3)
O 0.4854 0.3675 0.6334 (multiplicity 3)
O 0.4883 0.1360 0.4185 (multiplicity 3)
O 0.4977 0.1357 0.1353 (multiplicity 3)
O 0.5048 0.3603 0.9259 (multiplicity 3)

Record 3
Compound: K2CaS2O9
Source: the Materials Project
Functional: PBE
Structure: relaxed

- Calculated volume: 215.81 Å³/f.u.
- Energy relative to the elements: -2.130 eV/atom
- M_tot: 2.0 μB per formula unit

a b c (Å): 6.233 7.170 10.010
angles (deg): 90.00 105.24 90.00
Space group P2_1 (No. 4)
One atom of each set of equivalent atoms:
K 0.189 0.000 0.343 (multiplicity 2)
K 0.191 0.511 0.335 (multiplicity 2)
Ca 0.342 0.755 0.963 (multiplicity 2)
S 0.152 0.253 0.008 (multiplicity 2)
S 0.280 0.757 0.642 (multiplicity 2)
O 0.034 0.759 0.120 (multiplicity 2)
O 0.055 0.247 0.129 (multiplicity 2)
O 0.062 0.740 0.536 (multiplicity 2)
O 0.277 0.927 0.731 (multiplicity 2)
O 0.297 0.087 0.009 (multiplicity 2)
O 0.300 0.420 0.021 (multiplicity 2)
O 0.316 0.593 0.737 (multiplicity 2)
O 0.460 0.773 0.570 (multiplicity 2)
O 0.485 0.732 0.221 (multiplicity 2)

Record 4
Compound: Mg14AlCO16
Source: the Materials Project
Functional: PBE
Structure: relaxed

- Calculated volume: 307.38 Å³/f.u.
- Energy relative to the elements: -2.743 eV/atom
- M_tot: 1.0 μB per formula unit

a b c (Å): 4.202 8.429 8.678
angles (deg): 90.00 90.00 90.00
Space group Pmmm (No. 47)
One atom of each set of equivalent atoms:
Mg 0.000 0.000 0.000 (multiplicity 1)
Mg 0.000 0.000 0.500 (multiplicity 1)
Mg 0.000 0.255 0.246 (multiplicity 4)
Mg 0.500 0.000 0.248 (multiplicity 2)
Mg 0.500 0.250 0.500 (multiplicity 2)
Mg 0.500 0.254 0.000 (multiplicity 2)
Mg 0.500 0.500 0.245 (multiplicity 2)
Al 0.000 0.500 0.500 (multiplicity 1)
C 0.000 0.500 0.000 (multiplicity 1)
O 0.000 0.000 0.253 (multiplicity 2)
O 0.000 0.245 0.000 (multiplicity 2)
O 0.000 0.259 0.500 (multiplicity 2)
O 0.000 0.500 0.292 (multiplicity 2)
O 0.500 0.000 0.000 (multiplicity 1)
O 0.500 0.000 0.500 (multiplicity 1)
O 0.500 0.251 0.249 (multiplicity 4)
O 0.500 0.500 0.000 (multiplicity 1)
O 0.500 0.500 0.500 (multiplicity 1)

Record 5
Compound: Eu3Lu
Source: the Materials Project
Functional: PBE
Structure: relaxed

- Calculated volume: 151.72 Å³/f.u.
- Energy relative to the elements: 0.087 eV/atom
- M_tot: 22.5 μB per formula unit

a b c (Å): 7.5944 7.5944 6.0752
angles (deg): 90.00 90.00 120.00
Space group P6_3/mmc (No. 194)
One atom of each set of equivalent atoms:
Eu 0.1700 0.3400 0.2500 (multiplicity 6)
Lu 0.3333 0.6667 0.7500 (multiplicity 2)

Record 6
Compound: V3C2
Source: the Materials Project
Functional: PBE
Structure: relaxed

- Calculated volume: 52.12 Å³/f.u.
- Energy relative to the elements: -0.368 eV/atom
- M_tot: 0.1 μB per formula unit

a b c (Å): 2.9552 2.9552 27.5628
angles (deg): 90.00 90.00 120.00
Space group P-3m1 (No. 164)
One atom of each set of equivalent atoms:
V 0.0000 0.0000 0.1243 (multiplicity 2)
V 0.0000 0.0000 0.2925 (multiplicity 2)
V 0.3333 0.6667 0.3771 (multiplicity 2)
V 0.3333 0.6667 0.5418 (multiplicity 2)
V 0.3333 0.6667 0.7901 (multiplicity 2)
V 0.3333 0.6667 0.9581 (multiplicity 2)
C 0.0000 0.0000 0.4179 (multiplicity 2)
C 0.3333 0.6667 0.0776 (multiplicity 2)
C 0.3333 0.6667 0.1670 (multiplicity 2)
C 0.3333 0.6667 0.2566 (multiplicity 2)

Record 7
Compound: FeS3N2Cl5
Source: the Materials Project
Functional: PBE
Structure: relaxed

- Calculated volume: 305.61 Å³/f.u.
- Energy relative to the elements: -0.469 eV/atom
- M_tot: 5.0 μB per formula unit

a b c (Å): 9.577 10.897 14.915
angles (deg): 90.00 128.25 90.00
Space group P2_1/c (No. 14)
One atom of each set of equivalent atoms:
Fe 0.218 0.134 0.191 (multiplicity 4)
S 0.156 0.748 0.195 (multiplicity 4)
S 0.324 0.531 0.309 (multiplicity 4)
S 0.332 0.735 0.888 (multiplicity 4)
N 0.203 0.608 0.196 (multiplicity 4)
N 0.370 0.623 0.410 (multiplicity 4)
Cl 0.035 0.210 0.598 (multiplicity 4)
Cl 0.110 0.012 0.256 (multiplicity 4)
Cl 0.253 0.028 0.081 (multiplicity 4)
Cl 0.444 0.148 0.580 (multiplicity 4)
Cl 0.479 0.206 0.337 (multiplicity 4)

Record 8
Compound: Zn3Pd
Source: the Materials Project
Functional: PBE
Structure: relaxed

- Calculated volume: 58.56 Å³/f.u.
- Energy relative to the elements: -0.365 eV/atom

a b c (Å): 3.767 3.767 8.254
angles (deg): 90.00 90.00 90.00
Space group I4/mmm (No. 139)
One atom of each set of equivalent atoms:
Zn 0.000 0.000 0.000 (multiplicity 2)
Zn 0.000 0.500 0.250 (multiplicity 4)
Pd 0.000 0.000 0.500 (multiplicity 2)